Density functional theory data (PBE-GGA) for crystalline K at its relaxed geometry.

The value obtained for the formation energy is 37.1 meV per atom. For the energy above the most stable polymorph in this dataset, the calculation gives 37 meV per atom.

The structure belongs to space group I-43m (No. 217); the cell edges are 16.3274, 16.3274 and 16.3274 Å and the angles 90.00°, 90.00° and 90.00°. The inequivalent atoms are K at (0.0000, 0.0000, 0.0000), K at (0.0428, 0.3608, 0.6392), K at (0.0917, 0.0917, 0.7184) and K at (0.1827, 0.1827, 0.1827).